(A)
# LiFe2OF3

An optimized crystal structure of LiFe2OF3 (PBE with a Hubbard U, the Materials Project database).

Cell: 5.203 6.113 6.160 Å, 59.96 90.15 90.17°
Positions (direct):
1 Li 0.027 0.666 0.669
2 Li 0.973 0.334 0.331
3 Fe 0.500 0.500 0.000
4 Fe 0.000 0.000 0.000
5 Fe 0.500 0.500 0.500
6 Fe 0.500 0.000 0.500
7 O 0.663 0.664 0.670
8 O 0.336 0.336 0.330
9 F 0.782 0.175 0.650
10 F 0.218 0.825 0.350
11 F 0.215 0.336 0.829
12 F 0.218 0.831 0.827
13 F 0.785 0.664 0.171
14 F 0.782 0.169 0.173

Output
Crystal system   triclinic

(B)
# LiFe2OF3

An optimized crystal structure of LiFe2OF3 (PBE with a Hubbard U, the Materials Project database).

Cell: 6.125 6.173 10.361 Å, 90.33 90.20 119.53°
Positions (direct):
1 Li 0.332 0.663 0.012
2 Li 0.331 0.662 0.513
3 Li 0.669 0.338 0.487
4 Li 0.668 0.337 0.987
5 Fe 0.000 0.000 0.500
6 Fe 0.500 0.999 0.250
7 Fe 0.500 0.001 0.750
8 Fe 0.000 0.000 0.000
9 Fe 0.000 0.500 0.250
10 Fe 0.001 0.500 0.750
11 Fe 0.501 0.501 0.250
12 Fe 0.499 0.499 0.750
13 O 0.328 0.657 0.333
14 O 0.329 0.659 0.833
15 O 0.671 0.341 0.167
16 O 0.672 0.343 0.667
17 F 0.827 0.654 0.394
18 F 0.831 0.659 0.897
19 F 0.169 0.341 0.103
20 F 0.173 0.346 0.606
21 F 0.180 0.835 0.109
22 F 0.182 0.840 0.609
23 F 0.651 0.836 0.111
24 F 0.656 0.840 0.609
25 F 0.818 0.160 0.391
26 F 0.820 0.165 0.891
27 F 0.344 0.160 0.391
28 F 0.349 0.164 0.889

Output
Crystal system   triclinic

(C)
# LiFe2OF3

An optimized crystal structure of LiFe2OF3 (PBE with a Hubbard U, the Materials Project database).

Cell: 6.230 6.278 8.627 Å, 91.06 90.04 90.20°
Positions (direct):
1 Li 0.752 0.993 0.982
2 Li 0.269 0.989 0.506
3 Li 0.498 0.254 0.748
4 Li 0.001 0.259 0.746
5 Fe 0.006 0.751 0.236
6 Fe 0.507 0.746 0.272
7 Fe 0.731 0.760 0.639
8 Fe 0.214 0.776 0.873
9 Fe 0.753 0.506 0.999
10 Fe 0.262 0.507 0.510
11 Fe 0.747 0.288 0.370
12 Fe 0.244 0.179 0.121
13 O 0.262 0.947 0.259
14 O 0.475 0.734 0.516
15 O 0.961 0.752 0.994
16 O 0.754 0.540 0.246
17 F 0.761 0.008 0.248
18 F 0.511 0.759 0.986
19 F 0.014 0.753 0.510
20 F 0.253 0.478 0.239
21 F 0.747 0.468 0.751
22 F 0.248 0.478 0.756
23 F 0.027 0.274 0.504
24 F 0.982 0.240 0.989
25 F 0.523 0.246 0.992
26 F 0.489 0.241 0.509
27 F 0.759 0.036 0.752
28 F 0.249 0.039 0.747

Output
Crystal system   triclinic

Which structure loses on stability? (C) does.

(A)
# Li4Co5SnO12

An optimized crystal structure of Li4Co5SnO12 (PBE with a Hubbard U, the Materials Project database).

Cell: 5.073 5.038 19.824 Å, 91.98 85.19 120.11°
Positions (direct):
1 Li 0.204 0.324 0.370
2 Li 0.707 0.332 0.872
3 Li 0.617 0.327 0.127
4 Li 0.125 0.339 0.631
5 Li 0.872 0.660 0.371
6 Li 0.373 0.666 0.871
7 Li 0.287 0.661 0.126
8 Li 0.799 0.668 0.631
9 Co 0.251 0.004 0.249
10 Co 0.084 0.669 0.751
11 Co 0.415 0.330 0.751
12 Co 0.334 0.667 0.999
13 Co 0.667 0.333 0.999
14 Co 0.750 0.001 0.751
15 Co 0.588 0.671 0.249
16 Co 0.927 0.336 0.248
17 Co 0.837 0.670 0.501
18 Co 0.170 0.338 0.501
19 Sn 0.001 0.000 0.999
20 Sn 0.496 0.997 0.501
21 O 0.920 0.014 0.300
22 O 0.407 0.003 0.800
23 O 0.596 0.009 0.200
24 O 0.097 0.007 0.702
25 O 0.338 0.998 0.053
26 O 0.831 0.004 0.557
27 O 0.167 0.994 0.443
28 O 0.663 0.002 0.945
29 O 0.625 0.643 0.053
30 O 0.134 0.653 0.560
31 O 0.513 0.649 0.443
32 O 0.019 0.645 0.945
33 O 0.982 0.355 0.053
34 O 0.485 0.350 0.557
35 O 0.862 0.345 0.444
36 O 0.376 0.358 0.945
37 O 0.275 0.330 0.194
38 O 0.770 0.342 0.702
39 O 0.957 0.661 0.197
40 O 0.433 0.657 0.702
41 O 0.550 0.337 0.302
42 O 0.070 0.339 0.800
43 O 0.202 0.656 0.302
44 O 0.723 0.654 0.800

Output
Crystal system   triclinic

(B)
# Li4Co5SnO12

An optimized crystal structure of Li4Co5SnO12 (PBE with a Hubbard U, the Materials Project database).

Cell: 5.041 10.852 8.798 Å, 66.05 89.93 85.32°
Positions (direct):
1 Li 0.055 0.747 0.463
2 Li 0.530 0.746 0.961
3 Li 0.445 0.253 0.711
4 Li 0.969 0.254 0.207
5 Li 0.545 0.745 0.297
6 Li 0.044 0.746 0.792
7 Li 0.956 0.255 0.541
8 Li 0.456 0.254 0.038
9 Co 0.250 0.500 0.084
10 Co 0.500 0.000 0.167
11 Co 0.000 0.000 0.667
12 Co 0.500 0.000 0.833
13 Co 0.000 0.000 0.333
14 Co 0.249 0.500 0.753
15 Co 0.750 0.500 0.244
16 Co 0.249 0.500 0.412
17 Co 0.749 0.500 0.916
18 Co 0.750 0.500 0.583
19 Sn 0.999 0.000 0.000
20 Sn 0.501 0.999 0.500
21 O 0.911 0.603 0.708
22 O 0.415 0.602 0.188
23 O 0.589 0.397 0.810
24 O 0.086 0.398 0.292
25 O 0.338 0.107 0.947
26 O 0.839 0.107 0.447
27 O 0.661 0.893 0.053
28 O 0.162 0.892 0.554
29 O 0.304 0.107 0.625
30 O 0.804 0.107 0.125
31 O 0.196 0.893 0.232
32 O 0.696 0.893 0.733
33 O 0.802 0.108 0.768
34 O 0.305 0.106 0.269
35 O 0.697 0.893 0.375
36 O 0.195 0.894 0.876
37 O 0.098 0.391 0.631
38 O 0.599 0.402 0.130
39 O 0.609 0.397 0.454
40 O 0.125 0.390 0.992
41 O 0.403 0.609 0.522
42 O 0.898 0.597 0.033
43 O 0.894 0.604 0.351
44 O 0.375 0.610 0.882

Output
Crystal system   triclinic

Which structure loses on stability? (A) does.

(A)
# MgMn3Cu3O8

An optimized crystal structure of MgMn3Cu3O8 (PBE with a Hubbard U, the Materials Project database).

Cell: 6.359 6.359 6.359 Å, 56.20 56.20 56.20°
Positions (direct):
1 Mg 0.125 0.125 0.125
2 Mn 0.125 0.625 0.625
3 Mn 0.625 0.125 0.625
4 Mn 0.625 0.625 0.125
5 Cu 0.972 0.972 0.972
6 Cu 0.278 0.278 0.278
7 Cu 0.625 0.625 0.625
8 O 0.394 0.394 0.394
9 O 0.366 0.366 0.855
10 O 0.366 0.855 0.366
11 O 0.855 0.366 0.366
12 O 0.395 0.884 0.884
13 O 0.884 0.395 0.884
14 O 0.884 0.884 0.395
15 O 0.856 0.856 0.856

Output
Crystal system   trigonal

(B)
# MgMn3Cu3O8

An optimized crystal structure of MgMn3Cu3O8 (PBE with a Hubbard U, the Materials Project database).

Cell: 6.074 6.074 6.681 Å, 59.05 59.05 59.23°
Positions (direct):
1 Mg 0.098 0.152 0.625
2 Mn 0.106 0.643 0.627
3 Mn 0.607 0.144 0.623
4 Mn 0.650 0.600 0.125
5 Cu 0.074 0.947 0.109
6 Cu 0.303 0.176 0.141
7 Cu 0.611 0.639 0.625
8 O 0.358 0.396 0.429
9 O 0.369 0.405 0.818
10 O 0.339 0.875 0.426
11 O 0.837 0.375 0.415
12 O 0.375 0.911 0.824
13 O 0.875 0.413 0.835
14 O 0.845 0.881 0.432
15 O 0.854 0.892 0.821

Output
Crystal system   monoclinic

Which structure loses on stability? (A) does.

(A)
# MgMnP2O7

An optimized crystal structure of MgMnP2O7 (PBE with a Hubbard U, the Materials Project database).

Cell: 5.903 5.492 5.115 Å, 95.11 108.74 75.16°
Positions (direct):
1 Mg 0.508 0.172 0.883
2 Mn 0.094 0.066 0.066
3 P 0.293 0.683 0.571
4 P 0.648 0.288 0.421
5 O 0.562 0.578 0.509
6 O 0.254 0.466 0.702
7 O 0.107 0.769 0.293
8 O 0.332 0.902 0.780
9 O 0.772 0.139 0.693
10 O 0.798 0.278 0.226
11 O 0.418 0.195 0.246

Output
Crystal system   triclinic

(B)
# MgMnP2O7

An optimized crystal structure of MgMnP2O7 (PBE with a Hubbard U, the Materials Project database).

Cell: 8.567 7.118 9.249 Å, 67.16 90.00 90.00°
Positions (direct):
1 Mg 0.940 0.698 0.181
2 Mg 0.440 0.302 0.319
3 Mg 0.560 0.698 0.681
4 Mg 0.060 0.302 0.819
5 Mn 0.070 0.236 0.391
6 Mn 0.930 0.764 0.609
7 Mn 0.570 0.764 0.109
8 Mn 0.430 0.236 0.891
9 P 0.735 0.062 0.757
10 P 0.224 0.532 0.031
11 P 0.765 0.062 0.257
12 P 0.276 0.532 0.531
13 P 0.235 0.938 0.743
14 P 0.724 0.468 0.469
15 P 0.776 0.468 0.969
16 P 0.265 0.938 0.243
17 O 0.178 0.750 0.900
18 O 0.610 0.115 0.309
19 O 0.890 0.115 0.809
20 O 0.384 0.542 0.105
21 O 0.822 0.250 0.100
22 O 0.103 0.970 0.623
23 O 0.616 0.458 0.895
24 O 0.091 0.494 0.150
25 O 0.273 0.378 0.451
26 O 0.897 0.030 0.377
27 O 0.397 0.970 0.123
28 O 0.762 0.882 0.204
29 O 0.262 0.118 0.296
30 O 0.322 0.750 0.400
31 O 0.603 0.030 0.877
32 O 0.110 0.885 0.191
33 O 0.238 0.118 0.796
34 O 0.909 0.506 0.850
35 O 0.227 0.378 0.951
36 O 0.773 0.622 0.049
37 O 0.884 0.458 0.395
38 O 0.409 0.494 0.650
39 O 0.591 0.506 0.350
40 O 0.390 0.885 0.691
41 O 0.738 0.882 0.704
42 O 0.116 0.542 0.605
43 O 0.727 0.622 0.549
44 O 0.678 0.250 0.600

Output
Crystal system   monoclinic

Which structure loses on stability? (A) does.

(A)
# MgCrBiO5

An optimized crystal structure of MgCrBiO5 (PBE with a Hubbard U, the Materials Project database).

Cell: 5.396 7.741 11.712 Å, 90.00 90.00 108.09°
Positions (direct):
1 Mg 0.629 0.177 0.921
2 Mg 0.371 0.823 0.079
3 Mg 0.871 0.323 0.421
4 Mg 0.129 0.677 0.579
5 Cr 0.785 0.970 0.648
6 Cr 0.215 0.030 0.352
7 Cr 0.715 0.530 0.148
8 Cr 0.285 0.470 0.852
9 Bi 0.120 0.174 0.097
10 Bi 0.880 0.826 0.903
11 Bi 0.620 0.674 0.403
12 Bi 0.380 0.326 0.597
13 O 0.580 0.330 0.073
14 O 0.034 0.326 0.932
15 O 0.497 0.645 0.175
16 O 0.757 0.514 0.526
17 O 0.799 0.483 0.285
18 O 0.299 0.983 0.215
19 O 0.534 0.826 0.568
20 O 0.466 0.174 0.432
21 O 0.243 0.486 0.474
22 O 0.920 0.170 0.573
23 O 0.201 0.517 0.715
24 O 0.420 0.670 0.927
25 O 0.080 0.830 0.427
26 O 0.701 0.017 0.785
27 O 0.743 0.986 0.026
28 O 0.257 0.014 0.974
29 O 0.503 0.355 0.825
30 O 0.966 0.674 0.068
31 O 0.003 0.855 0.675
32 O 0.997 0.145 0.325

Output
Crystal system   monoclinic

(B)
# MgCrBiO5

An optimized crystal structure of MgCrBiO5 (PBE with a Hubbard U, the Materials Project database).

Cell: 5.276 10.681 15.349 Å, 90.00 90.00 90.00°
Positions (direct):
1 Mg 0.503 0.360 0.451
2 Mg 0.003 0.140 0.451
3 Mg 0.003 0.640 0.049
4 Mg 0.997 0.360 0.951
5 Mg 0.497 0.140 0.951
6 Mg 0.997 0.860 0.549
7 Mg 0.497 0.640 0.549
8 Mg 0.503 0.860 0.049
9 Cr 0.979 0.399 0.590
10 Cr 0.521 0.899 0.410
11 Cr 0.021 0.601 0.410
12 Cr 0.479 0.101 0.590
13 Cr 0.021 0.101 0.090
14 Cr 0.979 0.899 0.910
15 Cr 0.521 0.399 0.090
16 Cr 0.479 0.601 0.910
17 Bi 0.971 0.854 0.228
18 Bi 0.029 0.146 0.772
19 Bi 0.529 0.354 0.772
20 Bi 0.029 0.646 0.728
21 Bi 0.471 0.146 0.272
22 Bi 0.471 0.646 0.228
23 Bi 0.529 0.854 0.728
24 Bi 0.971 0.354 0.272
25 O 0.934 0.333 0.695
26 O 0.308 0.040 0.058
27 O 0.192 0.540 0.942
28 O 0.275 0.777 0.145
29 O 0.225 0.277 0.855
30 O 0.934 0.833 0.805
31 O 0.225 0.777 0.645
32 O 0.566 0.833 0.305
33 O 0.308 0.540 0.442
34 O 0.066 0.667 0.305
35 O 0.566 0.333 0.195
36 O 0.643 0.199 0.524
37 O 0.808 0.960 0.442
38 O 0.725 0.723 0.645
39 O 0.181 0.026 0.884
40 O 0.808 0.460 0.058
41 O 0.066 0.167 0.195
42 O 0.775 0.223 0.355
43 O 0.143 0.801 0.976
44 O 0.192 0.040 0.558
45 O 0.357 0.801 0.476
46 O 0.819 0.974 0.116
47 O 0.725 0.223 0.855
48 O 0.681 0.974 0.616
49 O 0.357 0.301 0.024
50 O 0.143 0.301 0.524
51 O 0.692 0.460 0.558
52 O 0.692 0.960 0.942
53 O 0.681 0.474 0.884
54 O 0.857 0.699 0.476
55 O 0.857 0.199 0.024
56 O 0.643 0.699 0.976
57 O 0.819 0.474 0.384
58 O 0.775 0.723 0.145
59 O 0.275 0.277 0.355
60 O 0.181 0.526 0.616
61 O 0.319 0.526 0.116
62 O 0.434 0.167 0.695
63 O 0.319 0.026 0.384
64 O 0.434 0.667 0.805

Output
Crystal system   orthorhombic

Which structure loses on stability? (B) does.